Density functional theory data (GGA+U) for a geometry-optimized Li2TiMn3O8 structure.

Excess energy over the best structure of this formula in the dataset in meV/atom: 90
Total moment in μB per formula unit: 11.0
Space-group type: P6_3mc

Cell lengths 5.734, 5.734, 9.472 Å; angles 90.00, 90.00, 120.00 degrees
Positions (direct):
Ti1 0.667 0.333 0.995
Ti2 0.333 0.667 0.495
O1 0.166 0.331 0.599
O2 0.333 0.667 0.107
O3 0.519 0.038 0.837
O4 0.834 0.166 0.099
O5 0.000 0.000 0.308
O6 0.000 0.000 0.808
O7 0.669 0.834 0.599
O8 0.166 0.834 0.599
O9 0.331 0.166 0.099
O10 0.038 0.519 0.337
O11 0.519 0.481 0.837
O12 0.667 0.333 0.607
O13 0.834 0.669 0.099
O14 0.481 0.962 0.337
O15 0.481 0.519 0.337
O16 0.962 0.481 0.837
Li1 0.667 0.333 0.397
Li2 0.000 0.000 0.495
Li3 0.000 0.000 0.995
Li4 0.333 0.667 0.897
Mn1 0.171 0.342 0.215
Mn2 0.829 0.171 0.715
Mn3 0.829 0.658 0.715
Mn4 0.658 0.829 0.215
Mn5 0.342 0.171 0.715
Mn6 0.171 0.829 0.215

Density functional theory data (GGA+U) for a geometry-optimized Rb4MgFe4O8 structure.

Excess energy over the best structure of this formula in the dataset in meV/atom: 15
Total moment in μB per formula unit: 18.0
Space-group type: P1

Cell lengths 5.848, 5.845, 8.824 Å; angles 88.41, 88.91, 103.15 degrees
Positions (direct):
Rb1 0.950 0.561 0.424
Rb2 0.492 0.986 0.829
Rb3 0.015 0.044 0.627
Rb4 0.414 0.559 0.114
O1 0.431 0.080 0.169
O2 0.950 0.171 0.951
O3 0.641 0.508 0.812
O4 0.164 0.595 0.716
O5 0.516 0.195 0.536
O6 0.883 0.089 0.298
O7 0.471 0.686 0.424
O8 0.944 0.611 0.084
Mg1 0.777 0.254 0.126
Fe1 0.552 0.004 0.375
Fe2 0.455 0.500 0.622
Fe3 0.942 0.492 0.870
Fe4 0.079 0.958 0.125

Among the records above, which one has the lowest excess energy over the best structure of this formula in the dataset?
Rb4MgFe4O8